# CoTeO3 PBE+U relaxed
data_CoTeO3
_symmetry_space_group_name_H-M 'P 1'
_symmetry_Int_Tables_number 1
_cell_length_a 3.779
_cell_length_b 3.779
_cell_length_c 3.779
_cell_angle_alpha 90.00
_cell_angle_beta 90.00
_cell_angle_gamma 90.00
loop_
_symmetry_equiv_pos_as_xyz
'x,y,z'
loop_
_atom_site_label
_atom_site_fract_x
_atom_site_fract_y
_atom_site_fract_z
_atom_site_occupancy
Co1 0.000 0.000 0.000 1
Te1 0.500 0.500 0.500 1
O1 0.000 0.000 0.500 1
O2 0.000 0.500 0.000 1
O3 0.500 0.000 0.000 1
# SG: Pm-3m (221)
# MP2020-corrected energy (eV/atom): -5.758
# DFT formation energy (meV per atom): -739.0
# Crystal system: cubic
# ρ (g cm⁻³): 7.21
# Total moment (μB per formula unit): 0.367

=====

# PrV2O2 PBE+U relaxed
data_PrV2O2
_symmetry_space_group_name_H-M 'P 1'
_symmetry_Int_Tables_number 1
_cell_length_a 7.908
_cell_length_b 7.908
_cell_length_c 7.908
_cell_angle_alpha 112.05
_cell_angle_beta 112.05
_cell_angle_gamma 104.42
loop_
_symmetry_equiv_pos_as_xyz
'x,y,z'
loop_
_atom_site_label
_atom_site_fract_x
_atom_site_fract_y
_atom_site_fract_z
_atom_site_occupancy
Pr1 0.875 0.125 0.250 1
Pr2 0.875 0.625 0.750 1
Pr3 0.375 0.125 0.250 1
Pr4 0.875 0.125 0.750 1
V1 0.503 0.189 0.686 1
V2 0.503 0.817 0.314 1
V3 0.567 0.753 0.814 1
V4 0.247 0.433 0.186 1
V5 0.247 0.061 0.814 1
V6 0.939 0.753 0.186 1
V7 0.183 0.497 0.686 1
V8 0.811 0.497 0.314 1
O1 0.653 0.498 0.845 1
O2 0.653 0.808 0.155 1
O3 0.558 0.903 0.655 1
O4 0.097 0.442 0.345 1
O5 0.097 0.752 0.655 1
O6 0.248 0.903 0.345 1
O7 0.192 0.347 0.845 1
O8 0.502 0.347 0.155 1
# SG: I4_1/amd (141)
# MP2020-corrected energy (eV/atom): -7.472
# DFT formation energy (meV per atom): -903.1
# Crystal system: tetragonal
# ρ (g cm⁻³): 4.82
# Total moment (μB per formula unit): 6.003

=====

# KMgMn2Cr2O10 PBE+U relaxed
data_KMgMn2Cr2O10
_symmetry_space_group_name_H-M 'P 1'
_symmetry_Int_Tables_number 1
_cell_length_a 5.740
_cell_length_b 5.740
_cell_length_c 8.549
_cell_angle_alpha 70.17
_cell_angle_beta 70.18
_cell_angle_gamma 65.40
loop_
_symmetry_equiv_pos_as_xyz
'x,y,z'
loop_
_atom_site_label
_atom_site_fract_x
_atom_site_fract_y
_atom_site_fract_z
_atom_site_occupancy
K1 0.520 0.520 0.479 1
Mg1 0.812 0.812 0.700 1
Mn1 0.013 0.502 0.001 1
Mn2 0.502 0.013 0.001 1
Cr1 0.933 0.933 0.261 1
Cr2 0.081 0.081 0.737 1
O1 0.826 0.826 0.145 1
O2 0.165 0.165 0.879 1
O3 0.819 0.819 0.472 1
O4 0.198 0.198 0.536 1
O5 0.259 0.831 0.215 1
O6 0.831 0.259 0.215 1
O7 0.730 0.157 0.765 1
O8 0.157 0.730 0.765 1
O9 0.323 0.323 0.073 1
O10 0.677 0.677 0.938 1
# SG: Cm (8)
# MP2020-corrected energy (eV/atom): -7.529
# DFT formation energy (meV per atom): -1914.9
# Crystal system: monoclinic
# ρ (g cm⁻³): 3.10
# Total moment (μB per formula unit): 8.999

=====

# LiCo2OF3 PBE+U relaxed
data_LiCo2OF3
_symmetry_space_group_name_H-M 'P 1'
_symmetry_Int_Tables_number 1
_cell_length_a 6.115
_cell_length_b 6.158
_cell_length_c 8.511
_cell_angle_alpha 89.86
_cell_angle_beta 89.92
_cell_angle_gamma 89.09
loop_
_symmetry_equiv_pos_as_xyz
'x,y,z'
loop_
_atom_site_label
_atom_site_fract_x
_atom_site_fract_y
_atom_site_fract_z
_atom_site_occupancy
Li1 0.247 0.490 0.255 1
Li2 0.487 0.251 0.003 1
Li3 0.500 0.762 0.495 1
Li4 0.738 0.497 0.745 1
Co1 0.012 0.242 0.012 1
Co2 0.999 0.769 0.502 1
Co3 0.250 0.229 0.606 1
Co4 0.254 0.774 0.892 1
Co5 0.242 0.018 0.254 1
Co6 0.741 0.001 0.734 1
Co7 0.772 0.236 0.378 1
Co8 0.743 0.737 0.122 1
O1 0.018 0.266 0.241 1
O2 0.255 0.026 0.014 1
O3 0.245 0.974 0.485 1
O4 0.752 0.980 0.510 1
F1 0.010 0.744 0.244 1
F2 0.244 0.517 0.499 1
F3 0.263 0.493 0.004 1
F4 0.496 0.265 0.247 1
F5 0.484 0.739 0.253 1
F6 0.511 0.255 0.753 1
F7 0.517 0.745 0.750 1
F8 0.744 0.003 0.984 1
F9 0.759 0.518 0.513 1
F10 0.751 0.478 0.986 1
F11 0.983 0.250 0.759 1
F12 0.981 0.741 0.759 1
# SG: P1 (1)
# MP2020-corrected energy (eV/atom): -6.006
# DFT formation energy (meV per atom): -2175.0
# Crystal system: triclinic
# ρ (g cm⁻³): 4.10
# Total moment (μB per formula unit): 6.000

=====

# Li3TiNi3O8 PBE+U relaxed
data_Li3TiNi3O8
_symmetry_space_group_name_H-M 'P 1'
_symmetry_Int_Tables_number 1
_cell_length_a 5.849
_cell_length_b 5.879
_cell_length_c 10.018
_cell_angle_alpha 88.70
_cell_angle_beta 106.46
_cell_angle_gamma 119.22
loop_
_symmetry_equiv_pos_as_xyz
'x,y,z'
loop_
_atom_site_label
_atom_site_fract_x
_atom_site_fract_y
_atom_site_fract_z
_atom_site_occupancy
Li1 0.500 0.250 0.750 1
Li2 0.500 0.750 0.250 1
Li3 0.507 0.002 0.503 1
Li4 0.493 0.498 0.997 1
Li5 0.500 0.250 0.250 1
Li6 0.500 0.750 0.750 1
Ti1 0.987 0.984 0.996 1
Ti2 0.013 0.516 0.504 1
Ni1 0.000 0.750 0.250 1
Ni2 0.000 0.250 0.750 1
Ni3 0.000 0.750 0.750 1
Ni4 0.001 0.003 0.500 1
Ni5 0.000 0.497 0.000 1
Ni6 0.000 0.250 0.250 1
O1 0.235 0.858 0.615 1
O2 0.215 0.346 0.124 1
O3 0.765 0.642 0.885 1
O4 0.786 0.154 0.376 1
O5 0.202 0.087 0.357 1
O6 0.208 0.578 0.864 1
O7 0.798 0.413 0.143 1
O8 0.792 0.922 0.636 1
O9 0.220 0.128 0.872 1
O10 0.227 0.635 0.369 1
O11 0.224 0.370 0.630 1
O12 0.220 0.868 0.129 1
O13 0.777 0.130 0.870 1
O14 0.779 0.632 0.371 1
O15 0.780 0.372 0.629 1
O16 0.773 0.865 0.131 1
# SG: P-1 (2)
# MP2020-corrected energy (eV/atom): -6.590
# DFT formation energy (meV per atom): -1887.1
# Crystal system: triclinic
# ρ (g cm⁻³): 4.34
# Total moment (μB per formula unit): 3.000

=====

# La4FeSe6O PBE+U relaxed
data_La4FeSe6O
_symmetry_space_group_name_H-M 'P 1'
_symmetry_Int_Tables_number 1
_cell_length_a 9.809
_cell_length_b 9.814
_cell_length_c 14.232
_cell_angle_alpha 90.47
_cell_angle_beta 90.31
_cell_angle_gamma 59.92
loop_
_symmetry_equiv_pos_as_xyz
'x,y,z'
loop_
_atom_site_label
_atom_site_fract_x
_atom_site_fract_y
_atom_site_fract_z
_atom_site_occupancy
La1 0.667 0.668 0.104 1
La2 0.667 0.670 0.603 1
La3 0.332 0.331 0.354 1
La4 0.334 0.333 0.853 1
La5 0.200 0.599 0.081 1
La6 0.198 0.601 0.581 1
La7 0.200 0.198 0.079 1
La8 0.200 0.200 0.579 1
La9 0.397 0.802 0.330 1
La10 0.401 0.798 0.830 1
La11 0.799 0.801 0.330 1
La12 0.801 0.799 0.831 1
La13 0.798 0.401 0.331 1
La14 0.801 0.398 0.828 1
La15 0.601 0.198 0.080 1
La16 0.601 0.198 0.579 1
Fe1 0.004 0.000 0.999 1
Fe2 0.998 0.003 0.748 1
Fe3 0.997 0.005 0.501 1
Fe4 0.004 0.999 0.250 1
Se1 0.878 0.245 0.132 1
Se2 0.877 0.245 0.628 1
Se3 0.250 0.874 0.131 1
Se4 0.244 0.878 0.631 1
Se5 0.755 0.123 0.383 1
Se6 0.753 0.124 0.881 1
Se7 0.877 0.874 0.133 1
Se8 0.873 0.875 0.635 1
Se9 0.124 0.128 0.380 1
Se10 0.125 0.123 0.880 1
Se11 0.118 0.762 0.385 1
Se12 0.126 0.751 0.884 1
Se13 0.060 0.471 0.223 1
Se14 0.060 0.469 0.723 1
Se15 0.469 0.468 0.224 1
Se16 0.470 0.470 0.723 1
Se17 0.471 0.059 0.222 1
Se18 0.469 0.059 0.722 1
Se19 0.528 0.533 0.473 1
Se20 0.532 0.528 0.973 1
Se21 0.529 0.942 0.472 1
Se22 0.530 0.939 0.973 1
Se23 0.940 0.532 0.473 1
Se24 0.941 0.528 0.973 1
O1 0.334 0.332 0.022 1
O2 0.333 0.334 0.522 1
O3 0.666 0.667 0.272 1
O4 0.667 0.666 0.772 1
# SG: P1 (1)
# MP2020-corrected energy (eV/atom): -6.509
# DFT formation energy (meV per atom): -1997.8
# Crystal system: triclinic
# ρ (g cm⁻³): 6.17
# Total moment (μB per formula unit): 0.009

=====

Number 1: uncorrected energy -5.02 eV per atom. Number 2: uncorrected energy -6.52 eV per atom. Number 3: uncorrected energy -6.64 eV per atom. Number 4: uncorrected energy -5.24 eV per atom. Number 5: uncorrected energy -5.72 eV per atom. Number 6: uncorrected energy -6.26 eV per atom.